VASP calculation (PBE) on a relaxed structure of NdSI.

a = 7.081 Å, b = 7.318 Å, c = 14.415 Å
α = 90.00°, β = 90.00°, γ = 90.00°
Atoms (fractional coordinates):
Nd 0.258 0.970 0.917
Nd 0.742 0.030 0.083
Nd 0.242 0.470 0.083
Nd 0.742 0.530 0.417
Nd 0.758 0.530 0.917
Nd 0.258 0.470 0.583
Nd 0.758 0.030 0.583
Nd 0.242 0.970 0.417
S 0.999 0.742 0.524
S 0.001 0.258 0.476
S 0.501 0.242 0.476
S 0.001 0.758 0.024
S 0.499 0.758 0.524
S 0.999 0.242 0.976
S 0.499 0.258 0.976
S 0.501 0.742 0.024
I 0.182 0.595 0.800
I 0.818 0.405 0.200
I 0.318 0.095 0.200
I 0.818 0.905 0.300
I 0.682 0.905 0.800
I 0.182 0.095 0.700
I 0.682 0.405 0.700
I 0.318 0.595 0.300

**Symmetry**: Pbca (61)
**E_tot**: -5.2523 eV/atom
**MP2020-corrected energy**: -5.546 eV/atom
**Calculated formation energy**: -2.0701 eV/atom

VASP calculation (PBE) on a relaxed structure of KO2.

a = 5.572 Å, b = 4.649 Å, c = 8.089 Å
α = 79.50°, β = 90.00°, γ = 90.00°
Atoms (fractional coordinates):
K 0.759 0.750 0.574
K 0.259 0.250 0.926
K 0.241 0.250 0.426
K 0.741 0.750 0.074
O 0.264 0.655 0.622
O 0.764 0.345 0.878
O 0.736 0.345 0.378
O 0.236 0.655 0.122
O 0.790 0.178 0.758
O 0.290 0.822 0.742
O 0.210 0.822 0.242
O 0.710 0.178 0.258

**Spin magnetization**: 0.33 μB per atom
**Symmetry**: P2_1/c (14)
**E_tot**: -4.5217 eV/atom
**MP2020-corrected energy**: -4.629 eV/atom
**Offset from the most stable computed form**: 27 meV/atom
**Calculated formation energy**: -0.9603 eV/atom

VASP calculation (PBE) on a relaxed structure of ZnTe.

a = 4.352 Å, b = 4.352 Å, c = 9.780 Å
α = 90.00°, β = 90.00°, γ = 120.00°
Atoms (fractional coordinates):
Zn 0.000 0.477 0.167
Zn 0.523 0.523 0.500
Zn 0.477 0.000 0.833
Te 0.000 0.492 0.667
Te 0.508 0.508 0.000
Te 0.492 0.000 0.333

**Spin magnetization**: 0.00 μB per atom
**Symmetry**: P3_121 (152)
**E_tot**: -2.5231 eV/atom
**MP2020-corrected energy**: -2.734 eV/atom
**Calculated formation energy**: -0.5326 eV/atom

VASP calculation (PBE) on a relaxed structure of Li2B2C.

a = 4.152 Å, b = 4.152 Å, c = 5.367 Å
α = 90.00°, β = 90.00°, γ = 90.00°
Atoms (fractional coordinates):
Li 0.000 0.000 0.500
Li 0.500 0.500 0.500
Li 0.000 0.500 0.746
Li 0.500 0.000 0.254
B 0.500 0.715 0.886
B 0.285 0.500 0.114
B 0.500 0.285 0.886
B 0.715 0.500 0.114
C 0.500 0.000 0.703
C 0.000 0.500 0.297

**Spin magnetization**: 0.00 μB per atom
**Symmetry**: P-4m2 (115)
**E_tot**: -5.1627 eV/atom
**Calculated formation energy**: 0.1183 eV/atom

Question: Number 1 is which compound?
Answer: NdSI